# PBE-GGA DyMoC2, optimized geometry
data_DyMoC2
_chemical_formula_sum 'Dy4 Mo4 C8'
_cell_length_a 5.705
_cell_length_b 3.399
_cell_length_c 10.794
_cell_angle_alpha 90.00
_cell_angle_beta 90.00
_cell_angle_gamma 90.00
_symmetry_space_group_name_H-M 'P n m a'
_symmetry_Int_Tables_number 62
_symmetry_space_group_name_Hall '-P 2ac 2n'
loop_
_atom_site_label
_atom_site_type_symbol
_atom_site_fract_x
_atom_site_fract_y
_atom_site_fract_z
_atom_site_occupancy
Dy1 Dy 0.085 0.250 0.138 1
Mo1 Mo 0.097 0.750 0.391 1
C1 C 0.159 0.250 0.753 1
C2 C 0.224 0.250 0.484 1
# **Total DFT energy (no corrections)**: -8.7273 eV per atom
# **Energy relative to the elements**: -250 meV per atom

***

# PBE-GGA DyThCN, optimized geometry
data_DyThCN
_chemical_formula_sum 'Dy1 Th1 C1 N1'
_cell_length_a 3.664
_cell_length_b 3.664
_cell_length_c 5.111
_cell_angle_alpha 90.00
_cell_angle_beta 90.00
_cell_angle_gamma 90.00
_symmetry_space_group_name_H-M 'P 4/m m m'
_symmetry_Int_Tables_number 123
_symmetry_space_group_name_Hall '-P 4 2'
loop_
_atom_site_label
_atom_site_type_symbol
_atom_site_fract_x
_atom_site_fract_y
_atom_site_fract_z
_atom_site_occupancy
Dy1 Dy 0.000 0.000 0.000 1
Th1 Th 0.500 0.500 0.500 1
C1 C 0.000 0.000 0.500 1
N1 N 0.500 0.500 0.000 1
# **Total DFT energy (no corrections)**: -8.3316 eV per atom
# **Energy relative to the elements**: -1025 meV per atom

***

# PBE-GGA Dy2Ni22C3, optimized geometry
data_Dy2Ni22C3
_chemical_formula_sum 'Dy16 Ni176 C24'
_cell_length_a 11.280
_cell_length_b 14.917
_cell_length_c 14.507
_cell_angle_alpha 90.00
_cell_angle_beta 90.00
_cell_angle_gamma 90.00
_symmetry_space_group_name_H-M 'C m c e'
_symmetry_Int_Tables_number 64
_symmetry_space_group_name_Hall '-C 2ac 2'
loop_
_atom_site_label
_atom_site_type_symbol
_atom_site_fract_x
_atom_site_fract_y
_atom_site_fract_z
_atom_site_occupancy
Dy1 Dy 0.000 0.207 0.028 1
Dy2 Dy 0.250 0.065 0.750 1
Ni1 Ni 0.000 0.000 0.000 1
Ni2 Ni 0.000 0.000 0.500 1
Ni3 Ni 0.000 0.002 0.326 1
Ni4 Ni 0.000 0.060 0.841 1
Ni5 Ni 0.000 0.145 0.414 1
Ni6 Ni 0.000 0.159 0.711 1
Ni7 Ni 0.000 0.181 0.233 1
Ni8 Ni 0.108 0.213 0.844 1
Ni9 Ni 0.111 0.120 0.578 1
Ni10 Ni 0.127 0.076 0.130 1
Ni11 Ni 0.170 0.123 0.299 1
Ni12 Ni 0.174 0.077 0.949 1
Ni13 Ni 0.177 0.035 0.427 1
Ni14 Ni 0.179 0.249 0.682 1
Ni15 Ni 0.221 0.189 0.451 1
C1 C 0.000 0.055 0.212 1
C2 C 0.244 0.187 0.916 1
# **Total DFT energy (no corrections)**: -6.2034 eV per atom
# **Energy relative to the elements**: -127 meV per atom

***

# PBE-GGA Dy2CO5, optimized geometry
data_Dy2CO5
_chemical_formula_sum 'Dy8 C4 O20'
_cell_length_a 15.232
_cell_length_b 6.674
_cell_length_c 3.898
_cell_angle_alpha 90.00
_cell_angle_beta 90.00
_cell_angle_gamma 90.00
_symmetry_space_group_name_H-M 'A m a 2'
_symmetry_Int_Tables_number 40
_symmetry_space_group_name_Hall 'A 2 -2a'
loop_
_atom_site_label
_atom_site_type_symbol
_atom_site_fract_x
_atom_site_fract_y
_atom_site_fract_z
_atom_site_occupancy
Dy1 Dy 0.093 0.168 0.000 1
C1 C 0.250 0.042 0.376 1
O1 O 0.057 0.334 0.501 1
O2 O 0.174 0.498 0.011 1
O3 O 0.250 0.137 0.090 1
# **Total DFT energy (no corrections)**: -8.2307 eV per atom
# **Energy relative to the elements**: -3262 meV per atom

***

# PBE-GGA DyCO4, optimized geometry
data_DyCO4
_chemical_formula_sum 'Dy18 C18 O72'
_cell_length_a 12.0853
_cell_length_b 12.0853
_cell_length_c 9.6728
_cell_angle_alpha 90.00
_cell_angle_beta 90.00
_cell_angle_gamma 120.00
_symmetry_space_group_name_H-M 'P -6'
_symmetry_Int_Tables_number 174
_symmetry_space_group_name_Hall 'P -6'
loop_
_atom_site_label
_atom_site_type_symbol
_atom_site_fract_x
_atom_site_fract_y
_atom_site_fract_z
_atom_site_occupancy
Dy1 Dy 0.2110 0.7754 0.2435 1
Dy2 Dy 0.2298 0.1110 0.2425 1
Dy3 Dy 0.5481 0.1029 0.2610 1
C1 C 0.0164 0.8221 0.5000 1
C2 C 0.0890 0.8842 0.0000 1
C3 C 0.1289 0.5686 0.0000 1
C4 C 0.1343 0.6391 0.5000 1
C5 C 0.4633 0.2206 0.5000 1
C6 C 0.4659 0.1513 0.0000 1
O1 O 0.0000 0.0000 0.2519 1
O2 O 0.0099 0.3351 0.3074 1
O3 O 0.0667 0.8228 0.3824 1
O4 O 0.0837 0.5883 0.3832 1
O5 O 0.0885 0.2384 0.1162 1
O6 O 0.1015 0.5084 0.1168 1
O7 O 0.1715 0.1372 0.0000 1
O8 O 0.1831 0.0893 0.5000 1
O9 O 0.1848 0.6921 0.0000 1
O10 O 0.2386 0.7487 0.5000 1
O11 O 0.3333 0.6667 0.2561 1
O12 O 0.3422 0.3306 0.1905 1
O13 O 0.4149 0.1511 0.1167 1
O14 O 0.4331 0.2501 0.3831 1
O15 O 0.5259 0.1595 0.5000 1
O16 O 0.5720 0.1492 0.0000 1
O17 O 0.6667 0.3333 0.2440 1
# **Offset from the most stable computed form**: 0.000 eV/atom
# **Total DFT energy (no corrections)**: -7.6771 eV per atom
# **Energy relative to the elements**: -2531 meV per atom

***

# PBE-GGA Dy2CO5, optimized geometry
data_Dy2CO5
_chemical_formula_sum 'Dy8 C4 O20'
_cell_length_a 3.839
_cell_length_b 6.762
_cell_length_c 15.248
_cell_angle_alpha 90.00
_cell_angle_beta 90.00
_cell_angle_gamma 90.00
_symmetry_space_group_name_H-M 'C m c m'
_symmetry_Int_Tables_number 63
_symmetry_space_group_name_Hall '-C 2c 2'
loop_
_atom_site_label
_atom_site_type_symbol
_atom_site_fract_x
_atom_site_fract_y
_atom_site_fract_z
_atom_site_occupancy
Dy1 Dy 0.000 0.165 0.093 1
C1 C 0.000 0.414 0.250 1
O1 O 0.000 0.167 0.557 1
O2 O 0.000 0.225 0.250 1
O3 O 0.000 0.496 0.674 1
# **Total DFT energy (no corrections)**: -8.2313 eV per atom
# **Energy relative to the elements**: -3263 meV per atom

***

# PBE-GGA DyCO4, optimized geometry
data_DyCO4
_chemical_formula_sum 'Dy4 C4 O16'
_cell_length_a 4.880
_cell_length_b 7.135
_cell_length_c 8.742
_cell_angle_alpha 90.00
_cell_angle_beta 90.00
_cell_angle_gamma 90.00
_symmetry_space_group_name_H-M 'P 21 21 21'
_symmetry_Int_Tables_number 19
_symmetry_space_group_name_Hall 'P 2ac 2ab'
loop_
_atom_site_label
_atom_site_type_symbol
_atom_site_fract_x
_atom_site_fract_y
_atom_site_fract_z
_atom_site_occupancy
Dy1 Dy 0.026 0.121 0.160 1
C1 C 0.007 0.048 0.826 1
O1 O 0.032 0.808 0.141 1
O2 O 0.040 0.450 0.792 1
O3 O 0.183 0.617 0.587 1
O4 O 0.238 0.924 0.368 1
# **Offset from the most stable computed form**: 0.046 eV/atom
# **Total DFT energy (no corrections)**: -7.6313 eV per atom
# **Energy relative to the elements**: -2485 meV per atom

***

# PBE-GGA Dy2OsC2, optimized geometry
data_Dy2OsC2
_chemical_formula_sum 'Dy8 Os4 C8'
_cell_length_a 6.441
_cell_length_b 5.133
_cell_length_c 9.816
_cell_angle_alpha 90.00
_cell_angle_beta 90.00
_cell_angle_gamma 90.00
_symmetry_space_group_name_H-M 'P n m a'
_symmetry_Int_Tables_number 62
_symmetry_space_group_name_Hall '-P 2ac 2n'
loop_
_atom_site_label
_atom_site_type_symbol
_atom_site_fract_x
_atom_site_fract_y
_atom_site_fract_z
_atom_site_occupancy
Dy1 Dy 0.023 0.250 0.222 1
Dy2 Dy 0.187 0.250 0.552 1
Os1 Os 0.228 0.250 0.864 1
C1 C 0.035 0.750 0.242 1
C2 C 0.178 0.750 0.552 1
# **Total DFT energy (no corrections)**: -8.1632 eV per atom
# **Energy relative to the elements**: -384 meV per atom

***

# PBE-GGA Dy3PbC, optimized geometry
data_Dy3PbC
_chemical_formula_sum 'Dy3 Pb1 C1'
_cell_length_a 4.916
_cell_length_b 4.916
_cell_length_c 4.916
_cell_angle_alpha 90.00
_cell_angle_beta 90.00
_cell_angle_gamma 90.00
_symmetry_space_group_name_H-M 'P m -3 m'
_symmetry_Int_Tables_number 221
_symmetry_space_group_name_Hall '-P 4 2 3'
loop_
_atom_site_label
_atom_site_type_symbol
_atom_site_fract_x
_atom_site_fract_y
_atom_site_fract_z
_atom_site_occupancy
Dy1 Dy 0.000 0.000 0.500 1
Pb1 Pb 0.500 0.500 0.500 1
C1 C 0.000 0.000 0.000 1
# **Total DFT energy (no corrections)**: -5.8911 eV per atom
# **Energy relative to the elements**: -539 meV per atom

***

# PBE-GGA DyRe2SiC, optimized geometry
data_DyRe2SiC
_chemical_formula_sum 'Dy4 Re8 Si4 C4'
_cell_length_a 3.946
_cell_length_b 10.903
_cell_length_c 7.303
_cell_angle_alpha 90.00
_cell_angle_beta 90.00
_cell_angle_gamma 90.00
_symmetry_space_group_name_H-M 'C m c m'
_symmetry_Int_Tables_number 63
_symmetry_space_group_name_Hall '-C 2c 2'
loop_
_atom_site_label
_atom_site_type_symbol
_atom_site_fract_x
_atom_site_fract_y
_atom_site_fract_z
_atom_site_occupancy
Dy1 Dy 0.000 0.044 0.250 1
Re1 Re 0.000 0.326 0.061 1
Si1 Si 0.000 0.235 0.750 1
C1 C 0.000 0.500 0.000 1
# **Total DFT energy (no corrections)**: -9.2948 eV per atom
# **Energy relative to the elements**: -465 meV per atom

***

# PBE-GGA DyRh3C, optimized geometry
data_DyRh3C
_chemical_formula_sum 'Dy1 Rh3 C1'
_cell_length_a 4.183
_cell_length_b 4.183
_cell_length_c 4.183
_cell_angle_alpha 90.00
_cell_angle_beta 90.00
_cell_angle_gamma 90.00
_symmetry_space_group_name_H-M 'P m -3 m'
_symmetry_Int_Tables_number 221
_symmetry_space_group_name_Hall '-P 4 2 3'
loop_
_atom_site_label
_atom_site_type_symbol
_atom_site_fract_x
_atom_site_fract_y
_atom_site_fract_z
_atom_site_occupancy
Dy1 Dy 0.000 0.000 0.000 1
Rh1 Rh 0.000 0.500 0.500 1
C1 C 0.500 0.500 0.500 1
# **Total DFT energy (no corrections)**: -7.6910 eV per atom
# **Energy relative to the elements**: -505 meV per atom